Material: Ni5O7
Method: DFT, PBE+U
State: relaxed

Unit cell a=2.9069 b=9.8339 c=16.9783 alpha=90.00 beta=90.00 gamma=90.00
With the nearest neighbours (Å) after each atom.
Space group Cmcm (No. 63)
Inequivalent atoms, fractional coordinates:
1 Ni 0.0000 0.0000 0.0000 [4 per cell]  6 O 2.00-2.08
2 Ni 0.0000 0.2685 0.0791 [8 per cell]  6 O 1.97-2.13
3 Ni 0.0000 0.4674 0.6540 [8 per cell]  5 O 1.87-2.04
4 O 0.0000 0.0878 0.6062 [8 per cell]  5 Ni 2.00-2.08
5 O 0.0000 0.1550 0.1744 [8 per cell]  3 Ni 1.92-1.97
6 O 0.0000 0.3611 0.5346 [8 per cell]  6 Ni 2.08-2.28
7 O 0.0000 0.4400 0.2500 [4 per cell]  2 Ni 1.87

Summary:
The MP2020-corrected energy is -6.120 eV per atom. As for the energy of formation from the pure elements: -825 meV/atom.